Entry 1:
Here is a geometry-optimized HoLuRh2 structure from the Materials Project. Energies are from r2SCAN.

Lattice parameters (Å, degrees): 4.7456 4.7456 4.7456 60.00 60.00 60.00
With the nearest neighbours (Å) after each atom.
Fractional positions:
Ho 0.0000 0.0000 0.0000  8 Rh 2.91
Lu 0.5000 0.5000 0.5000  8 Rh 2.91
Rh 0.2500 0.2500 0.2500  4 Ho 2.91, 4 Lu 2.91
Rh 0.7500 0.7500 0.7500  4 Ho 2.91, 4 Lu 2.91

Electronic total energy = -123.3 eV for the cell shown
Calculated formation energy = -1.03 eV per atom
Spin magnetization = 0.00 μB per formula unit

---

Entry 2:
Here is a geometry-optimized Eu2PI structure from the Materials Project. Energies are from r2SCAN.

Lattice parameters (Å, degrees): 8.0500 8.0500 8.0500 31.80 31.80 31.80
With the nearest neighbours (Å) after each atom.
Fractional positions:
Eu 0.2327 0.2327 0.2327  3 P 2.96
Eu 0.7673 0.7673 0.7673  3 P 2.96
P 0.5000 0.5000 0.5000  6 Eu 2.96
I 0.0000 0.0000 0.0000  6 Eu 3.44

Electronic total energy = -117.2 eV for the cell shown
Calculated formation energy = -1.66 eV per atom
Spin magnetization = 14.00 μB per formula unit

---

Entry 3:
Here is a geometry-optimized LiAgF4 structure from the Materials Project. Energies are from r2SCAN.

Lattice parameters (Å, degrees): 6.1381 6.1381 4.8559 109.74 109.74 56.56
With the nearest neighbours (Å) after each atom.
Fractional positions:
Li 0.1731 0.8269 0.7500  6 F 1.95-2.11
Li 0.8269 0.1731 0.2500  6 F 1.95-2.11
Ag 0.0000 0.5000 0.0000  4 F 1.93
Ag 0.5000 0.0000 0.5000  4 F 1.93
F 0.0059 0.2112 0.6719  1 Ag 1.93, 2 Li 1.97-2.11
F 0.2112 0.0059 0.1719  1 Ag 1.93, 2 Li 1.97-2.11
F 0.2407 0.5014 0.8296  1 Ag 1.93, 1 Li 1.95
F 0.4986 0.7593 0.6704  1 Ag 1.93, 1 Li 1.95
F 0.5014 0.2407 0.3296  1 Ag 1.93, 1 Li 1.95
F 0.7593 0.4986 0.1704  1 Ag 1.93, 1 Li 1.95
F 0.7888 0.9941 0.8281  1 Ag 1.93, 2 Li 1.97-2.11
F 0.9941 0.7888 0.3281  1 Ag 1.93, 2 Li 1.97-2.11

Electronic total energy = -95.0 eV for the cell shown
Calculated formation energy = -1.88 eV per atom
Spin magnetization = 0.00 μB per formula unit

---

Entry 4:
Here is a geometry-optimized ErNi5 structure from the Materials Project. Energies are from r2SCAN.

Lattice parameters (Å, degrees): 4.8034 4.8034 3.9087 90.00 90.00 120.00
With the nearest neighbours (Å) after each atom.
Fractional positions:
Er 0.0000 0.0000 0.0000  18 Ni 2.77-3.10
Ni 0.0000 0.5000 0.5000  8 Ni 2.40
Ni 0.3333 0.6667 0.0000  6 Ni 2.40
Ni 0.5000 0.0000 0.5000  8 Ni 2.40
Ni 0.5000 0.5000 0.5000  8 Ni 2.40
Ni 0.6667 0.3333 0.0000  6 Ni 2.40

Electronic total energy = -95.7 eV for the cell shown
Calculated formation energy = -0.32 eV per atom
Spin magnetization = 1.86 μB per formula unit

---

Entry 5:
Here is a geometry-optimized Nb2SeF14 structure from the Materials Project. Energies are from r2SCAN.

Lattice parameters (Å, degrees): 7.4800 17.2099 8.6782 90.00 103.89 90.00
With the nearest neighbours (Å) after each atom.
Fractional positions:
Nb 0.2230 0.0384 0.3422  6 F 1.86-2.06
Nb 0.2230 0.4616 0.8422  6 F 1.86-2.06
Nb 0.2334 0.6824 0.2249  5 F 1.86-1.98
Nb 0.2334 0.8176 0.7249  5 F 1.86-1.98
Nb 0.7666 0.1824 0.2751  5 F 1.86-1.98
Nb 0.7666 0.3176 0.7751  5 F 1.86-1.98
Nb 0.7770 0.5384 0.1578  6 F 1.86-2.06
Nb 0.7770 0.9616 0.6578  6 F 1.86-2.06
Se 0.1690 0.1364 0.8711  3 F 1.70-1.71
Se 0.1690 0.3636 0.3711  3 F 1.70-1.71
Se 0.8310 0.6364 0.6289  3 F 1.70-1.71
Se 0.8310 0.8636 0.1289  3 F 1.70-1.71
F 0.0159 0.6005 0.1735  2 Nb 2.06-2.12
F 0.0159 0.8995 0.6735  2 Nb 2.06-2.12
F 0.0229 0.7455 0.6597  1 Nb 1.98
F 0.0229 0.7545 0.1597  1 Nb 1.98
F 0.0477 0.5444 0.7483  1 Nb 1.97
F 0.0477 0.9556 0.2483  1 Nb 1.97
F 0.1749 0.6768 0.4268  1 Nb 1.91
F 0.1749 0.8232 0.9268  1 Nb 1.91
F 0.1775 0.1658 0.6855  1 Se 1.70
F 0.1775 0.3342 0.1855  1 Se 1.70
F 0.1901 0.0750 0.1227  1 Nb 1.96
F 0.1901 0.4250 0.6227  1 Nb 1.96
F 0.1978 0.0111 0.5452  1 Nb 1.88
F 0.1978 0.4889 0.0452  1 Nb 1.88
F 0.2247 0.6631 0.0080  1 Nb 1.90
F 0.2247 0.8369 0.5080  1 Nb 1.90
F 0.3242 0.0644 0.8694  1 Se 1.70
F 0.3242 0.4356 0.3694  1 Se 1.70
F 0.3351 0.2000 0.9644  1 Se 1.71
F 0.3351 0.3000 0.4644  1 Se 1.71
F 0.3520 0.1304 0.4112  1 Nb 1.88
F 0.3520 0.3696 0.9112  1 Nb 1.88
F 0.4035 0.7367 0.7616  1 Nb 1.86
F 0.4035 0.7633 0.2616  1 Nb 1.86
F 0.4038 0.6010 0.2897  1 Nb 1.89
F 0.4038 0.8990 0.7897  1 Nb 1.89
F 0.4217 0.5265 0.8400  1 Nb 1.86
F 0.4217 0.9735 0.3400  1 Nb 1.86
F 0.5783 0.0265 0.6600  1 Nb 1.86
F 0.5783 0.4735 0.1600  1 Nb 1.86
F 0.5962 0.1010 0.2103  1 Nb 1.89
F 0.5962 0.3990 0.7103  1 Nb 1.89
F 0.5965 0.2367 0.7384  1 Nb 1.86
F 0.5965 0.2633 0.2384  1 Nb 1.86
F 0.6480 0.6304 0.0888  1 Nb 1.88
F 0.6480 0.8696 0.5888  1 Nb 1.88
F 0.6649 0.7000 0.5356  1 Se 1.71
F 0.6649 0.8000 0.0356  1 Se 1.71
F 0.6758 0.5644 0.6306  1 Se 1.70
F 0.6758 0.9356 0.1306  1 Se 1.70
F 0.7753 0.1631 0.4920  1 Nb 1.90
F 0.7753 0.3369 0.9920  1 Nb 1.90
F 0.8022 0.5111 0.9548  1 Nb 1.88
F 0.8022 0.9889 0.4548  1 Nb 1.88
F 0.8099 0.5750 0.3773  1 Nb 1.96
F 0.8099 0.9250 0.8773  1 Nb 1.96
F 0.8225 0.6658 0.8145  1 Se 1.70
F 0.8225 0.8342 0.3145  1 Se 1.70
F 0.8251 0.1768 0.0732  1 Nb 1.91
F 0.8251 0.3232 0.5732  1 Nb 1.91
F 0.9523 0.0444 0.7517  1 Nb 1.97
F 0.9523 0.4556 0.2517  1 Nb 1.97
F 0.9771 0.2455 0.8403  1 Nb 1.98
F 0.9771 0.2545 0.3403  1 Nb 1.98
F 0.9841 0.1005 0.3265  2 Nb 2.06-2.12
F 0.9841 0.3995 0.8265  2 Nb 2.06-2.12

Electronic total energy = -617.8 eV for the cell shown
Calculated formation energy = -2.76 eV per atom
Spin magnetization = 0.00 μB per formula unit

---

Entry 6:
Here is a geometry-optimized LiSnP4O12 structure from the Materials Project. Energies are from r2SCAN.

Lattice parameters (Å, degrees): 7.3759 7.4055 9.9642 98.11 107.46 109.99
With the nearest neighbours (Å) after each atom.
Fractional positions:
Li 0.0000 0.0000 0.0000  3 O 1.86-2.05
Li 0.4813 0.0374 0.5389  3 O 1.86-1.99
Sn 0.2560 0.5185 0.2856  6 O 2.02-2.05
Sn 0.2697 0.0256 0.7841  5 O 2.27-2.52
P 0.2428 0.3307 0.5770  4 O 1.48-1.59
P 0.2473 0.6756 0.9706  4 O 1.49-1.58
P 0.5162 0.7114 0.7948  4 O 1.45-1.63
P 0.5526 0.2703 0.3065  4 O 1.45-1.61
P 0.7586 0.7004 0.4658  4 O 1.46-1.59
P 0.7620 0.3275 0.0929  4 O 1.46-1.58
P 0.9577 0.7613 0.2482  4 O 1.45-1.61
P 0.9650 0.2830 0.7670  3 O 1.46-1.62
O 0.0004 0.9204 0.1769  1 P 1.45
O 0.0333 0.5114 0.8557  2 P 1.58-1.62
O 0.0652 0.1909 0.8737  1 P 1.49
O 0.0820 0.3232 0.6517  2 P 1.57-1.63
O 0.1362 0.7175 0.3394  1 P 1.52
O 0.1775 0.4052 0.4448  1 P 1.51
O 0.2367 0.8729 0.9671  1 P 1.49
O 0.2679 0.1411 0.5477  1 P 1.48
O 0.2979 0.6390 0.1190  1 P 1.50
O 0.3758 0.3235 0.2251  1 P 1.52
O 0.3899 0.8042 0.7047  1 P 1.50
O 0.4182 0.6483 0.9159  2 P 1.58-1.63
O 0.4579 0.4948 0.6944  2 P 1.59-1.60
O 0.5090 0.1040 0.3707  1 P 1.45
O 0.5444 0.7034 0.4352  1 P 1.53
O 0.6252 0.2250 0.9405  1 P 1.46
O 0.6610 0.2302 0.1983  2 P 1.57-1.58
O 0.7296 0.4740 0.4230  2 P 1.59-1.61
O 0.7413 0.8115 0.8676  1 P 1.45
O 0.7421 0.1958 0.6816  1 P 1.46
O 0.7892 0.5526 0.1314  2 P 1.58-1.61
O 0.8330 0.7938 0.3474  2 P 1.58-1.59
O 0.9126 0.8007 0.6141  1 P 1.46
O 0.9746 0.3218 0.1376  1 P 1.51

Electronic total energy = -350.5 eV for the cell shown
Calculated formation energy = -2.25 eV per atom
Spin magnetization = 0.00 μB per formula unit

---

Entry 7:
Here is a geometry-optimized SmH3 structure from the Materials Project. Energies are from r2SCAN.

Lattice parameters (Å, degrees): 3.7602 3.7602 3.7602 60.00 60.00 60.00
With the nearest neighbours (Å) after each atom.
Fractional positions:
Sm 0.0000 0.0000 0.0000  8 H 2.30
H 0.2500 0.2500 0.2500  4 H 2.30, 4 Sm 2.30
H 0.5000 0.5000 0.5000  8 H 2.30
H 0.7500 0.7500 0.7500  4 Sm 2.30, 4 H 2.30

Electronic total energy = -42.6 eV for the cell shown
Calculated formation energy = -0.63 eV per atom
Spin magnetization = 0.00 μB per formula unit

---

Entry 8:
Here is a geometry-optimized Ac2ZnSi structure from the Materials Project. Energies are from r2SCAN.

Lattice parameters (Å, degrees): 5.4725 5.4725 5.4725 60.00 60.00 60.00
With the nearest neighbours (Å) after each atom.
Fractional positions:
Ac 0.2500 0.2500 0.2500  4 Si 3.35, 4 Zn 3.35
Ac 0.7500 0.7500 0.7500  4 Si 3.35, 4 Zn 3.35
Zn 0.0000 0.0000 0.0000  8 Ac 3.35
Si 0.5000 0.5000 0.5000  8 Ac 3.35

Electronic total energy = -156.3 eV for the cell shown
Calculated formation energy = -0.34 eV per atom
Spin magnetization = 0.00 μB per formula unit